(1)
YCrO5 | GGA+U | relaxed

abc: 8.311 11.606 11.708
angles: 90.00 134.74 90.00
Positions (direct):
Y  0.198  0.064  0.333
Y  0.198  0.436  0.833
Y  0.248  0.579  0.179
Y  0.248  0.921  0.679
Y  0.752  0.079  0.321
Y  0.752  0.421  0.821
Y  0.802  0.564  0.167
Y  0.802  0.936  0.667
Cr  0.138  0.171  0.998
Cr  0.138  0.329  0.498
Cr  0.407  0.689  0.546
Cr  0.407  0.811  0.046
Cr  0.593  0.189  0.954
Cr  0.593  0.311  0.454
Cr  0.862  0.671  0.502
Cr  0.862  0.829  0.002
O  0.058  0.584  0.654
O  0.058  0.916  0.154
O  0.068  0.538  0.923
O  0.068  0.962  0.423
O  0.089  0.191  0.432
O  0.089  0.309  0.932
O  0.136  0.165  0.138
O  0.136  0.335  0.638
O  0.209  0.619  0.368
O  0.209  0.881  0.868
O  0.294  0.742  0.607
O  0.294  0.758  0.107
O  0.390  0.098  0.815
O  0.390  0.402  0.315
O  0.391  0.129  0.082
O  0.391  0.371  0.582
O  0.432  0.515  0.095
O  0.432  0.985  0.595
O  0.492  0.197  0.476
O  0.492  0.303  0.976
O  0.508  0.697  0.024
O  0.508  0.803  0.524
O  0.568  0.015  0.405
O  0.568  0.485  0.905
O  0.609  0.629  0.418
O  0.609  0.871  0.918
O  0.610  0.598  0.685
O  0.610  0.902  0.185
O  0.706  0.242  0.893
O  0.706  0.258  0.393
O  0.791  0.119  0.132
O  0.791  0.381  0.632
O  0.864  0.665  0.362
O  0.864  0.835  0.862
O  0.911  0.691  0.068
O  0.911  0.809  0.568
O  0.932  0.038  0.577
O  0.932  0.462  0.077
O  0.942  0.084  0.846
O  0.942  0.416  0.346

Properties
* energy with MP2020 corrections: -456.35 eV/cell

---

(2)
YCr2O4 | GGA+U | relaxed

abc: 6.451 6.451 6.451
angles: 126.72 126.72 78.70
Positions (direct):
Y  0.375  0.125  0.250
Y  0.625  0.875  0.750
Cr  0.000  0.000  0.500
Cr  0.000  0.500  0.000
Cr  0.000  0.500  0.500
Cr  0.500  0.500  0.000
O  0.041  0.731  0.910
O  0.231  0.821  0.690
O  0.321  0.131  0.590
O  0.369  0.459  0.190
O  0.631  0.541  0.810
O  0.679  0.869  0.410
O  0.769  0.179  0.310
O  0.959  0.269  0.090

Properties
* energy with MP2020 corrections: -127.90 eV/cell
* offset from the most stable computed form: 29 meV/atom

---

(3)
YCr2O4 | GGA+U | relaxed

abc: 6.340 6.340 6.340
angles: 60.41 60.41 60.41
Positions (direct):
Y  0.122  0.122  0.122
Y  0.878  0.878  0.878
Cr  0.000  0.500  0.500
Cr  0.500  0.000  0.500
Cr  0.500  0.500  0.000
Cr  0.500  0.500  0.500
O  0.260  0.260  0.260
O  0.263  0.263  0.703
O  0.263  0.703  0.263
O  0.297  0.737  0.737
O  0.703  0.263  0.263
O  0.737  0.297  0.737
O  0.737  0.737  0.297
O  0.740  0.740  0.740

Properties
* energy with MP2020 corrections: -128.31 eV/cell
* offset from the most stable computed form: 0 meV/atom

---

(4)
YCrO4 | GGA+U | relaxed

abc: 7.215 6.007 5.990
angles: 73.95 53.14 52.92
Positions (direct):
Y  0.000  0.000  0.000
Y  0.250  0.250  0.250
Cr  0.500  0.500  0.500
Cr  0.750  0.750  0.750
O  0.320  0.858  0.492
O  0.330  0.492  0.858
O  0.391  0.921  0.929
O  0.492  0.330  0.320
O  0.758  0.929  0.921
O  0.858  0.320  0.330
O  0.921  0.391  0.758
O  0.929  0.758  0.391

Properties
* energy with MP2020 corrections: -105.00 eV/cell

---

(5)
YCrO4 | GGA+U | relaxed

abc: 6.738 6.738 6.738
angles: 135.82 135.82 64.26
Positions (direct):
Y  0.375  0.125  0.250
Y  0.625  0.875  0.750
Cr  0.125  0.375  0.750
Cr  0.875  0.625  0.250
O  0.058  0.195  0.348
O  0.210  0.558  0.363
O  0.305  0.153  0.863
O  0.347  0.710  0.152
O  0.653  0.290  0.848
O  0.695  0.847  0.137
O  0.790  0.442  0.637
O  0.942  0.805  0.652

Properties
* energy with MP2020 corrections: -104.69 eV/cell

---

(6)
ZnCr2O4 | GGA+U | relaxed

abc: 5.053 5.053 9.941
angles: 90.00 90.00 146.22
Positions (direct):
Zn  0.108  0.892  0.750
Zn  0.892  0.108  0.250
Cr  0.367  0.633  0.571
Cr  0.367  0.633  0.929
Cr  0.633  0.367  0.071
Cr  0.633  0.367  0.429
O  0.000  0.000  0.000
O  0.000  0.000  0.500
O  0.269  0.731  0.111
O  0.269  0.731  0.389
O  0.463  0.537  0.750
O  0.537  0.463  0.250
O  0.731  0.269  0.611
O  0.731  0.269  0.889

Properties
* energy with MP2020 corrections: -110.10 eV/cell
* offset from the most stable computed form: 178 meV/atom

---

(7)
ZnCr5O7 | GGA+U | relaxed

abc: 5.337 5.337 18.400
angles: 90.00 90.00 147.40
Positions (direct):
Zn  0.204  0.796  0.750
Zn  0.796  0.204  0.250
Cr  0.000  0.000  0.000
Cr  0.000  0.000  0.500
Cr  0.274  0.726  0.077
Cr  0.274  0.726  0.423
Cr  0.459  0.541  0.655
Cr  0.459  0.541  0.845
Cr  0.541  0.459  0.155
Cr  0.541  0.459  0.345
Cr  0.726  0.274  0.577
Cr  0.726  0.274  0.923
O  0.070  0.930  0.604
O  0.070  0.930  0.896
O  0.177  0.823  0.173
O  0.177  0.823  0.327
O  0.370  0.630  0.524
O  0.370  0.630  0.976
O  0.433  0.567  0.250
O  0.567  0.433  0.750
O  0.630  0.370  0.024
O  0.630  0.370  0.476
O  0.823  0.177  0.673
O  0.823  0.177  0.827
O  0.930  0.070  0.104
O  0.930  0.070  0.396

Properties
* energy with MP2020 corrections: -218.02 eV/cell

---

(8)
ZnCrO2 | GGA+U | relaxed

abc: 3.066 7.912 7.976
angles: 101.95 99.62 95.11
Positions (direct):
Zn  0.000  0.000  0.000
Zn  0.014  0.441  0.691
Zn  0.335  0.806  0.775
Zn  0.392  0.662  0.416
Cr  0.288  0.107  0.357
Cr  0.457  0.724  0.089
Cr  0.689  0.363  0.055
Cr  0.929  0.068  0.681
O  0.176  0.484  0.953
O  0.205  0.239  0.151
O  0.338  0.932  0.534
O  0.528  0.597  0.641
O  0.530  0.190  0.825
O  0.699  0.968  0.220
O  0.811  0.591  0.256
O  0.878  0.232  0.500

Properties
* energy with MP2020 corrections: -111.00 eV/cell

---

(9)
ZnCrO2 | GGA+U | relaxed

abc: 3.070 8.035 8.583
angles: 89.97 86.10 86.25
Positions (direct):
Zn  0.157  0.083  0.236
Zn  0.249  0.252  0.603
Zn  0.751  0.748  0.397
Zn  0.843  0.917  0.764
Cr  0.233  0.577  0.700
Cr  0.493  0.751  0.073
Cr  0.507  0.249  0.927
Cr  0.767  0.423  0.300
O  0.019  0.748  0.920
O  0.247  0.607  0.271
O  0.277  0.271  0.383
O  0.318  0.076  0.755
O  0.682  0.924  0.245
O  0.723  0.729  0.617
O  0.753  0.393  0.729
O  0.981  0.252  0.080

Properties
* energy with MP2020 corrections: -110.05 eV/cell

---

(10)
ZnCr2O4 | GGA+U | relaxed

abc: 5.973 5.973 14.882
angles: 93.29 93.29 60.83
Positions (direct):
Zn  0.000  0.000  0.000
Zn  0.170  0.170  0.834
Zn  0.338  0.338  0.667
Zn  0.501  0.501  0.125
Zn  0.504  0.504  0.498
Zn  0.673  0.673  0.333
Cr  0.002  0.502  0.000
Cr  0.174  0.174  0.205
Cr  0.174  0.174  0.459
Cr  0.174  0.673  0.331
Cr  0.337  0.837  0.666
Cr  0.502  0.002  0.000
Cr  0.502  0.502  0.876
Cr  0.673  0.174  0.331
Cr  0.837  0.337  0.666
Cr  0.837  0.837  0.540
Cr  0.837  0.837  0.792
Cr  0.838  0.838  0.164
O  0.008  0.008  0.736
O  0.015  0.488  0.749
O  0.136  0.687  0.083
O  0.154  0.154  0.590
O  0.184  0.184  0.075
O  0.186  0.658  0.583
O  0.321  0.850  0.919
O  0.331  0.331  0.931
O  0.343  0.343  0.400
O  0.345  0.827  0.415
O  0.488  0.015  0.749
O  0.499  0.499  0.261
O  0.521  0.521  0.743
O  0.529  0.998  0.245
O  0.658  0.186  0.583
O  0.666  0.666  0.595
O  0.682  0.682  0.076
O  0.687  0.136  0.083
O  0.815  0.815  0.922
O  0.827  0.345  0.415
O  0.850  0.321  0.919
O  0.852  0.852  0.406
O  0.995  0.995  0.257
O  0.998  0.529  0.245

Properties
* energy with MP2020 corrections: -328.22 eV/cell
* offset from the most stable computed form: 228 meV/atom

---

(11)
ZnCr2O4 | GGA+U | relaxed

abc: 5.986 5.986 5.986
angles: 119.42 117.14 93.02
Positions (direct):
Zn  0.000  0.000  0.000
Zn  0.500  0.000  0.500
Cr  0.000  0.000  0.500
Cr  0.000  0.500  0.000
Cr  0.376  0.626  0.750
Cr  0.624  0.374  0.250
O  0.212  0.742  0.470
O  0.228  0.258  0.970
O  0.246  0.233  0.487
O  0.246  0.759  0.013
O  0.754  0.241  0.987
O  0.754  0.767  0.513
O  0.772  0.742  0.030
O  0.788  0.258  0.530

Properties
* energy with MP2020 corrections: -108.83 eV/cell
* offset from the most stable computed form: 269 meV/atom

---

(12)
ZnCr2O4 | GGA+U | relaxed

abc: 7.358 7.358 9.476
angles: 128.87 128.87 23.42
Positions (direct):
Zn  0.168  0.168  0.184
Zn  0.832  0.832  0.816
Cr  0.136  0.136  0.458
Cr  0.354  0.354  0.187
Cr  0.646  0.646  0.813
Cr  0.864  0.864  0.542
O  0.037  0.037  0.750
O  0.288  0.288  0.921
O  0.331  0.331  0.662
O  0.362  0.362  0.403
O  0.638  0.638  0.597
O  0.669  0.669  0.338
O  0.712  0.712  0.079
O  0.963  0.963  0.250

Properties
* energy with MP2020 corrections: -109.35 eV/cell
* offset from the most stable computed form: 232 meV/atom

---

(13)
ZnCr2O4 | GGA+U | relaxed

abc: 5.997 5.997 14.739
angles: 90.00 90.00 120.00
Positions (direct):
Zn  0.000  0.000  0.000
Zn  0.000  0.000  0.243
Zn  0.333  0.667  0.582
Zn  0.667  0.333  0.287
Zn  0.667  0.333  0.665
Zn  0.667  0.333  0.915
Cr  0.000  0.000  0.624
Cr  0.167  0.333  0.790
Cr  0.167  0.833  0.790
Cr  0.331  0.166  0.458
Cr  0.333  0.667  0.334
Cr  0.333  0.667  0.957
Cr  0.501  0.002  0.123
Cr  0.501  0.499  0.123
Cr  0.667  0.833  0.790
Cr  0.834  0.166  0.458
Cr  0.834  0.669  0.458
Cr  0.998  0.499  0.123
O  0.000  0.000  0.385
O  0.000  0.000  0.862
O  0.031  0.515  0.869
O  0.151  0.302  0.537
O  0.151  0.849  0.537
O  0.183  0.365  0.043
O  0.183  0.817  0.043
O  0.302  0.151  0.710
O  0.333  0.667  0.197
O  0.333  0.667  0.718
O  0.357  0.178  0.199
O  0.485  0.515  0.869
O  0.485  0.969  0.869
O  0.507  0.013  0.382
O  0.507  0.493  0.382
O  0.635  0.817  0.043
O  0.667  0.333  0.051
O  0.667  0.333  0.528
O  0.698  0.849  0.537
O  0.822  0.178  0.199
O  0.822  0.643  0.199
O  0.849  0.151  0.710
O  0.849  0.698  0.710
O  0.987  0.493  0.382

Properties
* energy with MP2020 corrections: -335.58 eV/cell
* offset from the most stable computed form: 53 meV/atom

---

(14)
ZnCr2O4 | GGA+U | relaxed

abc: 5.995 5.995 5.995
angles: 60.00 60.00 60.00
Positions (direct):
Zn  0.125  0.125  0.125
Zn  0.875  0.875  0.875
Cr  0.000  0.500  0.500
Cr  0.500  0.000  0.500
Cr  0.500  0.500  0.000
Cr  0.500  0.500  0.500
O  0.261  0.261  0.261
O  0.261  0.261  0.716
O  0.261  0.716  0.261
O  0.284  0.739  0.739
O  0.716  0.261  0.261
O  0.739  0.284  0.739
O  0.739  0.739  0.284
O  0.739  0.739  0.739

Properties
* energy with MP2020 corrections: -112.60 eV/cell
* offset from the most stable computed form: 0 meV/atom